First-principles (meta-GGA r2SCAN) data for crystalline Mg2Pb at its relaxed geometry, as listed in the Materials Project database.

- formation energy from the elements (meV/atom) = -103.4
- M_tot (μB per atom) = 0.000
- theoretical density (g cm⁻³) = 5.74
- space group = Pnma (62)

Cell: 4.471 7.653 8.645 Å, 90.00 90.00 90.00°
Positions (direct):
Mg  0.750  0.456  0.174
Mg  0.750  0.956  0.326
Mg  0.250  0.544  0.826
Mg  0.250  0.044  0.674
Mg  0.750  0.370  0.557
Mg  0.750  0.870  0.943
Mg  0.250  0.630  0.443
Mg  0.250  0.130  0.057
Pb  0.750  0.257  0.870
Pb  0.750  0.757  0.630
Pb  0.250  0.743  0.130
Pb  0.250  0.243  0.370